1.
Here is a relaxed Na3CaTa5Si3P6O36 crystal from the Materials Project database. Energies are from PBE.

abc: 8.8608 8.8608 22.9823
angles: 90.00 90.00 120.00
With the nearest neighbours (Å) after each atom.
Fractional positions:
O (0.5320, 0.7083, 0.2565)  1 P 1.56
O (0.4973, 0.6339, 0.8589)  1 Si 1.64
O (0.5305, 0.6976, 0.9728)  1 Si 1.62
O (0.1676, 0.9717, 0.1958)  1 P 1.59
O (0.0283, 0.8324, 0.6958)  1 P 1.59
O (0.8967, 0.3720, 0.6377)  1 P 1.48
O (0.0233, 0.8352, 0.4074)  1 Si 1.63
O (0.6409, 0.1462, 0.4272)  1 Si 1.63
O (0.1474, 0.4911, 0.5711)  1 P 1.56
O (0.8337, 0.8133, 0.5898)  1 P 1.59
O (0.3661, 0.5027, 0.3589)  1 Si 1.64
O (0.1648, 0.1881, 0.4074)  1 Si 1.63
O (0.5089, 0.6562, 0.5711)  1 P 1.56
O (0.1474, 0.6562, 0.0711)  1 P 1.56
O (0.6945, 0.5404, 0.2504)  1 P 1.50
O (0.5089, 0.8526, 0.0711)  1 P 1.56
O (0.1763, 0.4680, 0.2565)  1 P 1.56
O (0.1671, 0.6976, 0.4728)  1 Si 1.62
O (0.8538, 0.4948, 0.4272)  1 Si 1.63
O (0.6945, 0.1540, 0.7504)  1 P 1.50
O (0.4596, 0.1540, 0.2504)  1 P 1.50
O (0.1834, 0.1742, 0.8050)  1 P 1.55
O (0.8119, 0.8352, 0.9074)  1 Si 1.63
O (0.9796, 0.8133, 0.0898)  1 P 1.59
O (0.4596, 0.3055, 0.7504)  1 P 1.50
O (0.0233, 0.1881, 0.9074)  1 Si 1.63
O (0.4753, 0.1033, 0.6377)  1 P 1.48
O (0.8258, 0.8166, 0.3050)  1 P 1.55
O (0.9908, 0.1742, 0.3050)  1 P 1.55
O (0.3438, 0.8526, 0.5711)  1 P 1.56
O (0.6960, 0.1582, 0.0287)  1 P 1.57
O (0.6409, 0.4948, 0.9272)  1 Si 1.63
O (0.1648, 0.9767, 0.9074)  1 Si 1.63
O (0.9796, 0.1663, 0.5898)  1 P 1.59
O (0.3024, 0.8329, 0.9728)  1 Si 1.62
O (0.1867, 0.0204, 0.5898)  1 P 1.59
O (0.1367, 0.5027, 0.8589)  1 Si 1.64
O (0.6960, 0.5377, 0.5287)  1 P 1.57
O (0.9908, 0.8166, 0.8050)  1 P 1.55
O (0.1671, 0.4695, 0.9728)  1 Si 1.62
O (0.1834, 0.0092, 0.3050)  1 P 1.55
O (0.8460, 0.5404, 0.7504)  1 P 1.50
O (0.3438, 0.4911, 0.0711)  1 P 1.56
O (0.8538, 0.3591, 0.9272)  1 Si 1.63
O (0.4623, 0.1582, 0.5287)  1 P 1.57
O (0.5052, 0.3591, 0.4272)  1 Si 1.63
O (0.1763, 0.7083, 0.7565)  1 P 1.56
O (0.2917, 0.4680, 0.7565)  1 P 1.56
O (0.1367, 0.6339, 0.3589)  1 Si 1.64
O (0.3661, 0.8633, 0.8589)  1 Si 1.64
O (0.6280, 0.5247, 0.6377)  1 P 1.48
O (0.8418, 0.3040, 0.5287)  1 P 1.57
O (0.8967, 0.5247, 0.1377)  1 P 1.48
O (0.8042, 0.9717, 0.6958)  1 P 1.59
O (0.8119, 0.9767, 0.4074)  1 Si 1.63
O (0.1676, 0.1958, 0.6958)  1 P 1.59
O (0.5305, 0.8329, 0.4728)  1 Si 1.62
O (0.8337, 0.0204, 0.0898)  1 P 1.59
O (0.8460, 0.3055, 0.2504)  1 P 1.50
O (0.4753, 0.3720, 0.1377)  1 P 1.48
O (0.8258, 0.0092, 0.8050)  1 P 1.55
O (0.8418, 0.5377, 0.0287)  1 P 1.57
O (0.6280, 0.1033, 0.1377)  1 P 1.48
O (0.4623, 0.3040, 0.0287)  1 P 1.57
O (0.5052, 0.1462, 0.9272)  1 Si 1.63
O (0.8042, 0.8324, 0.1958)  1 P 1.59
O (0.4973, 0.8633, 0.3589)  1 Si 1.64
O (0.5320, 0.8237, 0.7565)  1 P 1.56
O (0.0283, 0.1958, 0.1958)  1 P 1.59
O (0.1867, 0.1663, 0.0898)  1 P 1.59
O (0.2917, 0.8237, 0.2565)  1 P 1.56
O (0.3024, 0.4695, 0.4728)  1 Si 1.62
Si (0.3348, 0.9543, 0.9161)  4 O 1.62-1.64
Si (0.0457, 0.6652, 0.4161)  4 O 1.62-1.64
Si (0.0457, 0.3804, 0.9161)  4 O 1.62-1.64
Si (0.3348, 0.3804, 0.4161)  4 O 1.62-1.64
Si (0.6196, 0.9543, 0.4161)  4 O 1.62-1.64
Si (0.6196, 0.6652, 0.9161)  4 O 1.62-1.64
P (0.3741, 0.3349, 0.0831)  4 O 1.48-1.59
P (0.6651, 0.0391, 0.0831)  4 O 1.48-1.59
P (0.7123, 0.7174, 0.2518)  4 O 1.50-1.59
P (0.6651, 0.6259, 0.5831)  4 O 1.48-1.59
P (0.2826, 0.9949, 0.2518)  4 O 1.50-1.59
P (0.3741, 0.0391, 0.5831)  4 O 1.48-1.59
P (0.9609, 0.6259, 0.0831)  4 O 1.48-1.59
P (0.0051, 0.2877, 0.2518)  4 O 1.50-1.59
P (0.2826, 0.2877, 0.7518)  4 O 1.50-1.59
P (0.7123, 0.9949, 0.7518)  4 O 1.50-1.59
P (0.0051, 0.7174, 0.7518)  4 O 1.50-1.59
P (0.9609, 0.3349, 0.5831)  4 O 1.48-1.59
Ta (0.3333, 0.6667, 0.3133)  6 O 1.93-2.07
Ta (0.6667, 0.3333, 0.9780)  6 O 1.95-2.06
Ta (0.3333, 0.6667, 0.5175)  6 O 1.92-2.02
Ta (0.3333, 0.6667, 0.8133)  6 O 1.93-2.07
Ta (0.0000, 0.0000, 0.3570)  6 O 1.95-1.99
Ta (0.0000, 0.0000, 0.8570)  6 O 1.95-1.99
Ta (0.3333, 0.6667, 0.0175)  6 O 1.92-2.02
Ta (0.6667, 0.3333, 0.4780)  6 O 1.95-2.06
Ta (0.0000, 0.0000, 0.1461)  6 O 1.99-2.04
Ta (0.0000, 0.0000, 0.6461)  6 O 1.99-2.04
Na (0.6667, 0.3333, 0.3285)  6 O 2.49-2.75
Na (0.0000, 0.0000, 0.4992)  6 O 2.61-2.63
Na (0.3333, 0.6667, 0.6666)  6 O 2.62-2.72
Na (0.0000, 0.0000, 0.9992)  6 O 2.61-2.63
Na (0.6667, 0.3333, 0.8285)  6 O 2.49-2.75
Na (0.3333, 0.6667, 0.1666)  6 O 2.62-2.72
Ca (0.6667, 0.3333, 0.6868)  6 O 2.20-2.26
Ca (0.6667, 0.3333, 0.1868)  6 O 2.20-2.26

Output
* ΔH_f (0 K): -3.07 eV/atom
* E: -8.022 eV per atom
* space group: P3c1 (158)
* total magnetization: 0.0 Bohr magnetons per cell



2.
Here is a relaxed LiMg6Mo crystal from the Materials Project database. Energies are from PBE.

abc: 4.9217 6.1096 10.6666
angles: 90.00 90.00 90.00
With the nearest neighbours (Å) after each atom.
Fractional positions:
Mg (0.5000, 0.0000, 0.0816)  2 Li 3.00, 2 Mo 3.05, 8 Mg 3.07-3.08
Mg (0.5000, 0.5000, 0.5816)  2 Li 3.00, 2 Mo 3.05, 8 Mg 3.07-3.08
Mg (0.0000, 0.5000, 0.9280)  6 Mg 2.88-3.07, 2 Mo 2.95, 2 Li 3.06
Mg (0.0000, 0.0000, 0.4280)  6 Mg 2.88-3.07, 2 Mo 2.95, 2 Li 3.06
Mg (0.0000, 0.2653, 0.1622)  6 Mg 2.87-3.07, 2 Mo 2.98, 2 Li 3.04-3.11
Mg (0.5000, 0.2507, 0.3319)  8 Mg 3.05-3.08, 2 Li 3.05, 2 Mo 3.07-3.08
Mg (0.5000, 0.7493, 0.3319)  8 Mg 3.05-3.08, 2 Li 3.05, 2 Mo 3.07-3.08
Mg (0.0000, 0.7653, 0.6622)  6 Mg 2.87-3.07, 2 Mo 2.98, 2 Li 3.04-3.11
Mg (0.0000, 0.7347, 0.1622)  6 Mg 2.87-3.07, 2 Mo 2.98, 2 Li 3.04-3.11
Mg (0.0000, 0.2347, 0.6622)  6 Mg 2.87-3.07, 2 Mo 2.98, 2 Li 3.04-3.11
Mg (0.5000, 0.2493, 0.8319)  8 Mg 3.05-3.08, 2 Li 3.05, 2 Mo 3.07-3.08
Mg (0.5000, 0.7507, 0.8319)  8 Mg 3.05-3.08, 2 Li 3.05, 2 Mo 3.07-3.08
Mo (0.5000, 0.5000, 0.0810)  12 Mg 2.95-3.08
Mo (0.5000, 0.0000, 0.5810)  12 Mg 2.95-3.08
Li (0.0000, 0.5000, 0.4213)  12 Mg 3.00-3.11
Li (0.0000, 0.0000, 0.9213)  12 Mg 3.00-3.11

Output
* energy relative to the lowest polymorph listed for this composition: 9.7 meV per atom
* ΔH_f (0 K): 0.15 eV/atom
* E: -2.640 eV per atom
* total magnetization: 0.0 Bohr magnetons per cell



3.
Here is a relaxed NdAl2Ga2 crystal from the Materials Project database. Energies are from PBE.

abc: 6.3518 6.3518 6.3518
angles: 141.14 141.14 56.12
With the nearest neighbours (Å) after each atom.
Fractional positions:
Ga (0.3882, 0.3882, 0.0000)  1 Ga 2.51, 4 Al 2.62
Ga (0.6118, 0.6118, 0.0000)  1 Ga 2.51, 4 Al 2.62
Nd (0.0000, 0.0000, 0.0000)  8 Ga 3.24, 8 Al 3.51
Al (0.7500, 0.2500, 0.5000)  4 Ga 2.62
Al (0.2500, 0.7500, 0.5000)  4 Ga 2.62

Output
* ΔH_f (0 K): -0.45 eV/atom
* E: -4.111 eV per atom
* space group: I4/mmm (139)